Density functional theory data (PBE) for an optimized crystal structure of Bi7O6F9.

Raw total energy (eV per atom): -5.299
Volume (Å³/f.u.): 340.6
Size of the total moment (μB per formula unit): 0.002
Space group: Aea2
ΔH_f (0 K) (eV per atom): -2.30

abc: 11.783 20.280 20.280
angles: 163.67 90.00 90.00
Positions (direct):
Bi 0.102 0.107 0.893
Bi 0.103 0.386 0.599
Bi 0.103 0.746 0.101
Bi 0.107 0.490 0.419
Bi 0.107 0.918 0.989
Bi 0.108 0.631 0.278
Bi 0.114 0.269 0.768
Bi 0.386 0.769 0.268
Bi 0.392 0.131 0.778
Bi 0.393 0.418 0.489
Bi 0.393 0.990 0.919
Bi 0.397 0.246 0.601
Bi 0.397 0.886 0.099
Bi 0.398 0.607 0.393
Bi 0.602 0.393 0.607
Bi 0.603 0.099 0.886
Bi 0.603 0.601 0.246
Bi 0.607 0.489 0.418
Bi 0.607 0.919 0.990
Bi 0.608 0.778 0.131
Bi 0.614 0.268 0.769
Bi 0.886 0.768 0.269
Bi 0.892 0.278 0.631
Bi 0.893 0.419 0.490
Bi 0.893 0.989 0.918
Bi 0.897 0.101 0.746
Bi 0.897 0.599 0.386
Bi 0.898 0.893 0.107
O 0.000 0.206 0.206
O 0.000 0.706 0.706
O 0.004 0.807 0.662
O 0.006 0.067 0.358
O 0.006 0.163 0.307
O 0.011 0.853 0.566
O 0.011 0.947 0.515
O 0.489 0.353 0.066
O 0.489 0.447 0.015
O 0.494 0.567 0.858
O 0.494 0.663 0.807
O 0.496 0.307 0.162
O 0.500 0.206 0.206
O 0.500 0.706 0.706
O 0.504 0.162 0.307
O 0.506 0.807 0.663
O 0.506 0.858 0.567
O 0.511 0.015 0.447
O 0.511 0.066 0.353
O 0.989 0.515 0.947
O 0.989 0.566 0.853
O 0.994 0.307 0.163
O 0.994 0.358 0.067
O 0.996 0.662 0.807
F 0.017 0.017 0.447
F 0.189 0.639 0.140
F 0.190 0.275 0.888
F 0.193 0.370 0.756
F 0.209 0.702 0.961
F 0.213 0.483 0.223
F 0.227 0.208 0.080
F 0.228 0.575 0.703
F 0.250 0.280 0.279
F 0.250 0.780 0.779
F 0.272 0.075 0.203
F 0.273 0.708 0.580
F 0.287 0.983 0.723
F 0.291 0.202 0.461
F 0.307 0.870 0.256
F 0.310 0.775 0.388
F 0.311 0.139 0.640
F 0.483 0.517 0.947
F 0.517 0.947 0.517
F 0.689 0.640 0.139
F 0.690 0.388 0.775
F 0.693 0.256 0.870
F 0.709 0.461 0.202
F 0.713 0.723 0.983
F 0.727 0.580 0.708
F 0.728 0.203 0.075
F 0.750 0.279 0.280
F 0.750 0.779 0.780
F 0.772 0.703 0.575
F 0.773 0.080 0.208
F 0.787 0.223 0.483
F 0.791 0.961 0.702
F 0.807 0.756 0.370
F 0.810 0.888 0.275
F 0.811 0.140 0.639
F 0.983 0.447 0.017

=====

Density functional theory data (PBE) for an optimized crystal structure of Bi5O7F.

Raw total energy (eV per atom): -5.591
Volume (Å³/f.u.): 253.7
Size of the total moment (μB per formula unit): 0.001
Space group: P-1
ΔH_f (0 K) (eV per atom): -1.69

abc: 4.192 9.758 13.483
angles: 70.85 89.97 77.62
Positions (direct):
Bi 0.032 0.444 0.349
Bi 0.101 0.305 0.104
Bi 0.249 0.009 0.870
Bi 0.300 0.908 0.639
Bi 0.376 0.741 0.418
Bi 0.624 0.259 0.582
Bi 0.700 0.092 0.361
Bi 0.751 0.991 0.130
Bi 0.899 0.695 0.896
Bi 0.968 0.556 0.651
O 0.090 0.325 0.515
O 0.123 0.265 0.283
O 0.195 0.107 0.704
O 0.204 0.083 0.096
O 0.274 0.954 0.436
O 0.349 0.804 0.828
O 0.433 0.628 0.599
O 0.567 0.372 0.401
O 0.651 0.196 0.172
O 0.726 0.046 0.564
O 0.796 0.917 0.904
O 0.805 0.893 0.296
O 0.877 0.735 0.717
O 0.910 0.675 0.485
F 0.424 0.663 0.030
F 0.576 0.337 0.970

=====

Density functional theory data (PBE) for an optimized crystal structure of Bi4O5F2.

Raw total energy (eV per atom): -5.488
Volume (Å³/f.u.): 222.4
Size of the total moment (μB per formula unit): 0.000
Space group: P2_1/c
ΔH_f (0 K) (eV per atom): -1.87

abc: 5.826 5.421 14.090
angles: 90.00 91.90 90.00
Positions (direct):
Bi 0.209 0.215 0.046
Bi 0.209 0.285 0.546
Bi 0.233 0.614 0.286
Bi 0.233 0.886 0.786
Bi 0.767 0.114 0.214
Bi 0.767 0.386 0.714
Bi 0.791 0.715 0.454
Bi 0.791 0.785 0.954
O 0.000 0.000 0.500
O 0.000 0.500 0.000
O 0.079 0.010 0.915
O 0.079 0.490 0.415
O 0.119 0.196 0.708
O 0.119 0.304 0.208
O 0.881 0.696 0.792
O 0.881 0.804 0.292
O 0.921 0.510 0.585
O 0.921 0.990 0.085
F 0.481 0.645 0.641
F 0.481 0.855 0.141
F 0.519 0.145 0.859
F 0.519 0.355 0.359

=====

Density functional theory data (PBE) for an optimized crystal structure of Bi7O6F9.

Raw total energy (eV per atom): -5.281
Volume (Å³/f.u.): 355.7
Size of the total moment (μB per formula unit): 0.000
Space group: Aem2
ΔH_f (0 K) (eV per atom): -2.29

abc: 5.837 21.029 21.029
angles: 164.00 90.00 90.00
Positions (direct):
Bi 0.193 0.102 0.898
Bi 0.193 0.398 0.602
Bi 0.207 0.599 0.253
Bi 0.207 0.753 0.099
Bi 0.242 0.271 0.771
Bi 0.248 0.488 0.430
Bi 0.248 0.930 0.988
Bi 0.752 0.430 0.488
Bi 0.752 0.988 0.930
Bi 0.758 0.771 0.271
Bi 0.793 0.099 0.753
Bi 0.793 0.253 0.599
Bi 0.807 0.602 0.398
Bi 0.807 0.898 0.102
O 0.000 0.207 0.207
O 0.000 0.707 0.707
O 0.007 0.170 0.317
O 0.007 0.817 0.670
O 0.022 0.053 0.345
O 0.022 0.845 0.553
O 0.500 0.230 0.230
O 0.500 0.730 0.730
O 0.978 0.345 0.053
O 0.978 0.553 0.845
O 0.993 0.317 0.170
O 0.993 0.670 0.817
F 0.039 0.013 0.449
F 0.039 0.949 0.513
F 0.373 0.263 0.869
F 0.373 0.369 0.763
F 0.392 0.626 0.126
F 0.418 0.487 0.224
F 0.418 0.724 0.987
F 0.452 0.181 0.052
F 0.452 0.552 0.681
F 0.548 0.052 0.181
F 0.548 0.681 0.552
F 0.582 0.224 0.487
F 0.582 0.987 0.724
F 0.608 0.126 0.626
F 0.627 0.763 0.369
F 0.627 0.869 0.263
F 0.961 0.449 0.013
F 0.961 0.513 0.949

=====

Density functional theory data (PBE) for an optimized crystal structure of Bi3O4F.

Raw total energy (eV per atom): -5.593
Volume (Å³/f.u.): 146.7
Size of the total moment (μB per formula unit): 0.000
Space group: C2/c
ΔH_f (0 K) (eV per atom): -1.82

abc: 9.259 9.259 5.830
angles: 98.41 98.41 36.45
Positions (direct):
Bi 0.137 0.552 0.221
Bi 0.207 0.793 0.750
Bi 0.448 0.863 0.279
Bi 0.552 0.137 0.721
Bi 0.793 0.207 0.250
Bi 0.863 0.448 0.779
O 0.004 0.138 0.602
O 0.138 0.004 0.102
O 0.347 0.453 0.944
O 0.453 0.347 0.444
O 0.547 0.653 0.556
O 0.653 0.547 0.056
O 0.862 0.996 0.898
O 0.996 0.862 0.398
F 0.000 0.500 0.500
F 0.500 0.000 0.000

=====

Density functional theory data (PBE) for an optimized crystal structure of ZnBi6P2O14F2.

Raw total energy (eV per atom): -6.006
Volume (Å³/f.u.): 374.5
Size of the total moment (μB per formula unit): 0.000
Space group: C2/c
ΔH_f (0 K) (eV per atom): -2.09

abc: 8.910 8.910 16.818
angles: 109.76 109.76 36.90
Positions (direct):
Zn 0.000 0.000 0.000
Zn 0.000 0.000 0.500
Bi 0.104 0.121 0.827
Bi 0.121 0.104 0.327
Bi 0.171 0.228 0.164
Bi 0.228 0.171 0.664
Bi 0.425 0.456 0.828
Bi 0.456 0.425 0.328
Bi 0.544 0.575 0.672
Bi 0.575 0.544 0.172
Bi 0.772 0.829 0.336
Bi 0.829 0.772 0.836
Bi 0.879 0.896 0.673
Bi 0.896 0.879 0.173
P 0.344 0.360 0.996
P 0.360 0.344 0.496
P 0.640 0.656 0.504
P 0.656 0.640 0.004
O 0.051 0.829 0.890
O 0.075 0.593 0.246
O 0.091 0.572 0.743
O 0.171 0.949 0.610
O 0.178 0.391 0.916
O 0.181 0.608 0.479
O 0.222 0.601 0.056
O 0.224 0.776 0.250
O 0.278 0.722 0.750
O 0.391 0.178 0.416
O 0.392 0.819 0.021
O 0.399 0.778 0.444
O 0.407 0.925 0.254
O 0.428 0.909 0.757
O 0.572 0.091 0.243
O 0.593 0.075 0.746
O 0.601 0.222 0.556
O 0.608 0.181 0.979
O 0.609 0.822 0.584
O 0.722 0.278 0.250
O 0.776 0.224 0.750
O 0.778 0.399 0.944
O 0.819 0.392 0.521
O 0.822 0.609 0.084
O 0.829 0.051 0.390
O 0.909 0.428 0.257
O 0.925 0.407 0.754
O 0.949 0.171 0.110
F 0.215 0.381 0.554
F 0.381 0.215 0.054
F 0.619 0.785 0.946
F 0.785 0.619 0.446

=====

Density functional theory data (PBE) for an optimized crystal structure of ZnBi6P2O14F2.

Raw total energy (eV per atom): -6.019
Volume (Å³/f.u.): 387.7
Size of the total moment (μB per formula unit): 0.000
Space group: C2/c
ΔH_f (0 K) (eV per atom): -2.10

abc: 8.968 8.968 16.905
angles: 107.91 107.91 37.08
Positions (direct):
Zn 0.000 0.000 0.000
Zn 0.000 0.000 0.500
Bi 0.027 0.179 0.825
Bi 0.140 0.270 0.671
Bi 0.179 0.027 0.325
Bi 0.270 0.140 0.171
Bi 0.328 0.545 0.830
Bi 0.455 0.672 0.670
Bi 0.545 0.328 0.330
Bi 0.672 0.455 0.170
Bi 0.730 0.860 0.829
Bi 0.821 0.973 0.675
Bi 0.860 0.730 0.329
Bi 0.973 0.821 0.175
P 0.357 0.389 0.509
P 0.389 0.357 0.009
P 0.611 0.643 0.991
P 0.643 0.611 0.491
O 0.022 0.642 0.741
O 0.032 0.106 0.112
O 0.106 0.032 0.612
O 0.131 0.527 0.243
O 0.167 0.657 0.551
O 0.184 0.816 0.750
O 0.228 0.624 0.045
O 0.299 0.701 0.250
O 0.312 0.364 0.413
O 0.343 0.833 0.949
O 0.358 0.978 0.759
O 0.364 0.312 0.913
O 0.376 0.772 0.455
O 0.473 0.869 0.257
O 0.527 0.131 0.743
O 0.624 0.228 0.545
O 0.636 0.688 0.087
O 0.642 0.022 0.241
O 0.657 0.167 0.051
O 0.688 0.636 0.587
O 0.701 0.299 0.750
O 0.772 0.376 0.955
O 0.816 0.184 0.250
O 0.833 0.343 0.449
O 0.869 0.473 0.757
O 0.894 0.968 0.388
O 0.968 0.894 0.888
O 0.978 0.358 0.259
F 0.273 0.309 0.037
F 0.309 0.273 0.537
F 0.691 0.727 0.463
F 0.727 0.691 0.963

=====

Density functional theory data (PBE) for an optimized crystal structure of Ta2BiO6F.

Raw total energy (eV per atom): -8.422
Volume (Å³/f.u.): 146.5
Size of the total moment (μB per formula unit): 0.000
Space group: Imma
ΔH_f (0 K) (eV per atom): -2.96

abc: 7.450 7.450 7.450
angles: 120.77 118.93 90.27
Positions (direct):
Ta 0.000 0.000 0.000
Ta 0.500 0.000 0.000
Ta 0.500 0.000 0.500
Ta 0.500 0.500 0.500
Bi 0.000 0.500 0.500
Bi 0.500 0.500 0.000
O 0.185 0.323 0.267
O 0.185 0.918 0.861
O 0.197 0.947 0.250
O 0.426 0.676 0.750
O 0.443 0.082 0.767
O 0.443 0.677 0.361
O 0.557 0.323 0.639
O 0.557 0.918 0.233
O 0.574 0.324 0.250
O 0.803 0.053 0.750
O 0.815 0.082 0.139
O 0.815 0.677 0.733
F 0.133 0.383 0.750
F 0.867 0.617 0.250

=====

Density functional theory data (PBE) for an optimized crystal structure of TiBi2O4F2.

Raw total energy (eV per atom): -6.503
Volume (Å³/f.u.): 117.2
Size of the total moment (μB per formula unit): 0.000
Space group: I4/mmm
ΔH_f (0 K) (eV per atom): -2.54

abc: 8.290 8.290 8.290
angles: 153.00 153.00 38.56
Positions (direct):
Ti 0.000 0.000 0.000
Bi 0.332 0.332 0.000
Bi 0.668 0.668 0.000
O 0.000 0.500 0.500
O 0.250 0.750 0.500
O 0.500 0.000 0.500
O 0.750 0.250 0.500
F 0.127 0.127 0.000
F 0.873 0.873 0.000

=====

Density functional theory data (PBE) for an optimized crystal structure of Bi2Pb3F12.

Raw total energy (eV per atom): -4.815
Volume (Å³/f.u.): 279.0
Size of the total moment (μB per formula unit): 0.000
Space group: P1
ΔH_f (0 K) (eV per atom): -2.68

abc: 4.324 4.335 17.256
angles: 84.65 83.78 60.31
Positions (direct):
Bi 0.000 0.000 0.000
Bi 0.429 0.562 0.791
Pb 0.119 0.372 0.405
Pb 0.506 0.744 0.205
Pb 0.726 0.944 0.604
F 0.039 0.354 0.547
F 0.156 0.375 0.246
F 0.196 0.397 0.995
F 0.324 0.670 0.651
F 0.465 0.779 0.912
F 0.475 0.714 0.355
F 0.504 0.730 0.062
F 0.573 0.993 0.758
F 0.771 0.025 0.452
F 0.851 0.149 0.866
F 0.854 0.038 0.143
F 0.916 0.367 0.720

=====

Density functional theory data (PBE) for an optimized crystal structure of RbBiF3.

Raw total energy (eV per atom): -4.147
Volume (Å³/f.u.): 117.1
Size of the total moment (μB per formula unit): 0.002
Space group: P4/nmm
ΔH_f (0 K) (eV per atom): -2.30

abc: 4.261 4.261 12.904
angles: 90.00 90.00 90.00
Positions (direct):
Rb 0.250 0.250 0.151
Rb 0.750 0.750 0.849
Bi 0.250 0.250 0.619
Bi 0.750 0.750 0.381
F 0.250 0.750 0.292
F 0.250 0.750 0.500
F 0.250 0.750 0.708
F 0.750 0.250 0.292
F 0.750 0.250 0.500
F 0.750 0.250 0.708